Na2ZnH8S2O12: relaxed, PBE.

The total energy comes out at -5.309 eV per atom.

```
50
Lattice="8.3724 0.0000 0.0000 0.0000 5.5749 0.0000 0.0000 1.8243 11.0214" Properties=species:S:1:pos:R:3 pbc="T T T"
O 2.3373 3.3421 8.0507
O 5.9821 1.7777 4.6531
O 0.7100 1.9822 4.6566
O 1.8489 2.4300 2.5400
O 5.2762 4.8611 6.3703
O 1.4793 4.2476 4.1108
O 7.2823 3.9489 0.8596
O 5.6655 2.2394 1.3999
O 8.0678 1.0194 1.8058
O 4.4908 1.9315 7.3165
O 2.3903 5.6215 6.3684
O 2.7068 5.1598 9.6215
O 1.7959 4.7094 0.8577
O 3.8816 5.4676 3.7050
O 3.0961 2.5381 4.6511
O 3.4762 2.8943 10.1673
O 6.0351 4.0570 2.9707
O 4.8961 4.5048 0.8541
O 7.6624 5.4170 6.3649
O 1.0900 3.4502 10.1619
O 6.8930 3.1515 6.9106
O 6.5234 4.9692 8.4814
O 6.5764 2.6898 10.1638
O 0.3046 6.3798 9.2157
S 2.4124 3.6825 9.5196
S 1.7738 2.7704 4.0089
S 6.5985 4.6288 7.0125
S 5.9600 3.7167 1.5018
H 7.2332 1.5581 1.7051
H 6.0903 3.1671 10.8867
H 1.6366 3.9964 1.5286
H 6.4682 2.2549 5.3759
H 2.2820 4.2321 0.1348
H 7.9247 5.7471 9.0150
H 0.4476 1.6521 2.0064
H 5.3253 2.4703 7.2158
H 3.0470 4.9289 3.8056
H 1.9041 5.1442 5.6455
H 4.6338 4.8350 3.5043
H 2.5496 4.9085 7.0393
H 6.7358 3.4028 9.4928
H 5.8228 2.4906 3.9821
H 3.7385 2.5642 7.5171
H 1.1392 5.8410 9.3163
Zn 4.1862 0.9121 5.5107
Zn 0.0000 0.0000 0.0000
Na 4.7944 6.4841 9.4989
Na 0.6082 1.8272 7.0332
Na 3.5780 0.9150 1.5225
Na 7.7641 5.5720 3.9882
```